Entry 1:
VASP calculation (GGA-PBE) on an optimized crystal structure of K2CeAgCl6.

a b c (Å): 10.929 10.929 10.929
angles (deg): 90.00 90.00 90.00
Space group Fm-3m (No. 225)
Unique sites:
K: 0.250 0.250 0.250
Ce: 0.000 0.000 0.000
Ag: 0.000 0.000 0.500
Cl: 0.000 0.000 0.250

Computed properties:
- formation energy (eV per atom) = -2.103
- spin magnetization (μB per cell) = 4.0
- E (eV per atom) = -3.94

=====

Entry 2:
VASP calculation (GGA-PBE) on an optimized crystal structure of La2H22S6N6O23.

a b c (Å): 20.719 9.419 14.275
angles (deg): 90.00 115.58 90.00
Space group C2/c (No. 15)
Unique sites:
La: 0.227 0.032 0.391
H: 0.027 0.180 0.522
H: 0.028 0.135 0.807
H: 0.061 0.415 0.904
H: 0.066 0.038 0.236
H: 0.086 0.392 0.263
H: 0.091 0.066 0.525
H: 0.100 0.137 0.177
H: 0.104 0.433 0.161
H: 0.106 0.341 0.844
H: 0.138 0.183 0.705
H: 0.204 0.267 0.785
S: 0.108 0.282 0.477
S: 0.128 0.232 0.994
S: 0.203 0.429 0.311
N: 0.078 0.320 0.886
N: 0.081 0.166 0.543
N: 0.117 0.453 0.238
O: 0.000 0.068 0.750
O: 0.046 0.327 0.383
O: 0.082 0.218 0.048
O: 0.110 0.081 0.240
O: 0.140 0.402 0.549
O: 0.141 0.095 0.955
O: 0.163 0.205 0.460
O: 0.168 0.196 0.780
O: 0.195 0.308 0.057
O: 0.213 0.482 0.413
O: 0.225 0.280 0.314
O: 0.239 0.480 0.763

Computed properties:
- formation energy (eV per atom) = -1.411
- spin magnetization (μB per cell) = 0.5
- E (eV per atom) = -5.77

=====

Entry 3:
VASP calculation (GGA-PBE) on an optimized crystal structure of KHfCuF7.

a b c (Å): 8.497 12.885 10.157
angles (deg): 90.00 90.00 90.00
Space group Cmcm (No. 63)
Unique sites:
K: 0.239 0.102 0.250
Hf: 0.000 0.367 0.070
Cu: 0.000 0.136 0.571
F: 0.000 0.000 0.000
F: 0.000 0.080 0.750
F: 0.000 0.208 0.110
F: 0.000 0.280 0.614
F: 0.000 0.476 0.613
F: 0.137 0.365 0.250
F: 0.226 0.373 0.014

Computed properties:
- formation energy (eV per atom) = -3.269
- E (eV per atom) = -5.80

=====

Entry 4:
VASP calculation (GGA-PBE) on an optimized crystal structure of CeZnPd.

a b c (Å): 6.885 4.444 8.054
angles (deg): 90.00 90.00 90.00
Space group Pnma (No. 62)
Unique sites:
Ce: 0.033 0.250 0.196
Zn: 0.154 0.250 0.568
Pd: 0.241 0.750 0.392

Computed properties:
- offset from the most stable computed form (meV per atom) = 2.9
- formation energy (eV per atom) = -0.637
- E (eV per atom) = -4.76

=====

Entry 5:
VASP calculation (GGA-PBE) on an optimized crystal structure of Te2W2SeS.

a b c (Å): 3.3969 3.3969 38.8731
angles (deg): 90.00 90.00 120.00
Space group P3m1 (No. 156)
Unique sites:
Te: 0.0000 0.0000 0.0000
Te: 0.0000 0.0000 0.0969
Te: 0.3333 0.6667 0.8120
Te: 0.3333 0.6667 0.9089
W: 0.0000 0.0000 0.4848
W: 0.0000 0.0000 0.8605
W: 0.3333 0.6667 0.0485
W: 0.3333 0.6667 0.6727
Se: 0.3333 0.6667 0.4422
Se: 0.3333 0.6667 0.5274
S: 0.0000 0.0000 0.6338
S: 0.0000 0.0000 0.7115

Computed properties:
- offset from the most stable computed form (meV per atom) = 2.0
- formation energy (eV per atom) = -0.407
- spin magnetization (μB per cell) = 0.0
- E (eV per atom) = -6.96

=====

Entry 6:
VASP calculation (GGA-PBE) on an optimized crystal structure of YUAs2.

a b c (Å): 4.116 4.116 5.801
angles (deg): 90.00 90.00 90.00
Space group P4/mmm (No. 123)
Unique sites:
Y: 0.000 0.000 0.000
U: 0.500 0.500 0.500
As: 0.000 0.000 0.500
As: 0.500 0.500 0.000

Computed properties:
- formation energy (eV per atom) = -1.134
- E (eV per atom) = -7.90

=====

Entry 7:
VASP calculation (GGA-PBE) on an optimized crystal structure of Cu2B2C.

a b c (Å): 5.357 5.333 5.258
angles (deg): 90.00 119.28 90.00
Space group C2/m (No. 12)
Unique sites:
Cu: 0.000 0.249 0.000
B: 0.157 0.500 0.809
C: 0.000 0.500 0.500

Computed properties:
- offset from the most stable computed form (meV per atom) = 3.3
- formation energy (eV per atom) = 0.649
- spin magnetization (μB per cell) = 0.0
- E (eV per atom) = -5.51

=====

Entry 8:
VASP calculation (GGA-PBE) on an optimized crystal structure of Mn4VSe5.

a b c (Å): 3.8199 3.8199 46.8276
angles (deg): 90.00 90.00 120.00
Space group R-3m (No. 166, hexagonal axes)
Unique sites:
Mn: 0.0000 0.0000 0.1000
Mn: 0.0000 0.0000 0.2999
V: 0.0000 0.0000 0.5000
Se: 0.0000 0.0000 0.0000
Se: 0.0000 0.0000 0.1985
Se: 0.0000 0.0000 0.4009

Computed properties:
- formation energy (eV per atom) = -0.596
- spin magnetization (μB per cell) = 64.9
- E (eV per atom) = -6.68